Compound: SrZnPb
Source: Materials Project
Functional: PBE
Structure: relaxed

Unit cell a=4.7990 b=4.7990 c=9.0827 alpha=90.00 beta=90.00 gamma=120.00
With the nearest neighbours (Å) after each atom.
Atoms (fractional coordinates):
Sr1 0.0000 0.0000 0.0000  6 Pb 3.58, 6 Zn 3.58
Sr2 0.0000 0.0000 0.5000  6 Pb 3.58, 6 Zn 3.58
Pb1 0.3333 0.6667 0.2500  3 Zn 2.77
Zn1 0.3333 0.6667 0.7500  3 Pb 2.77
Zn2 0.6667 0.3333 0.2500  3 Pb 2.77
Pb2 0.6667 0.3333 0.7500  3 Zn 2.77

energy of formation	-381	meV per atom
total moment	0.001	Bohr magnetons per cell
total DFT energy (no corrections)	-2.60	eV/atom